[1]
A relaxed structure of Sm3RuO7, computed with GGA-PBE.

Lattice parameters (Å, degrees): 14.9284 7.4970 10.8007 90.00 90.00 90.00
With the nearest neighbours (Å) after each atom.
Space group Pna2_1 (No. 33)
Unique sites:
Sm 0.0241 0.2343 0.0000 x4  6 O 2.29-2.53
Sm 0.0292 0.2508 0.5548 x4  7 O 2.26-2.51
Sm 0.1104 0.4958 0.2751 x4  7 O 2.34-2.60
Sm 0.1396 0.9960 0.2912 x4  7 O 2.36-2.56
Sm 0.2212 0.7551 0.0114 x4  7 O 2.27-2.51
Sm 0.2255 0.7572 0.5660 x4  7 O 2.30-2.57
Ru 0.1248 0.5013 0.7841 x4  6 O 1.97-2.01
Ru 0.1264 0.0017 0.7820 x4  6 O 1.93-2.01
O 0.0160 0.9591 0.8850 x4  1 Ru 2.01
O 0.0320 0.5338 0.9116 x4  1 Ru 1.97
O 0.0318 0.5416 0.6572 x4  1 Ru 1.97
O 0.0617 0.9565 0.6268 x4  1 Ru 1.96
O 0.0824 0.2510 0.7751 x4  2 Ru 1.98
O 0.1057 0.7659 0.1493 x4  4 Sm 2.26-2.44
O 0.1184 0.7351 0.4141 x4  4 Sm 2.30-2.38
O 0.1315 0.2407 0.1519 x4  4 Sm 2.29-2.38
O 0.1436 0.2637 0.4160 x4  4 Sm 2.27-2.42
O 0.1683 0.7507 0.7907 x4  2 Ru 1.98
O 0.1914 0.0492 0.9330 x4  1 Ru 1.93
O 0.2194 0.4643 0.6590 x4  1 Ru 1.97
O 0.2198 0.4634 0.9132 x4  1 Ru 2.01
O 0.2360 0.0400 0.6775 x4  1 Ru 2.01

Output
E (MP2020) in eV per atom: -8.40
Polymorph energy (0 for the lowest one) in meV/atom: 0
Total energy in eV/atom: -7.97

***

[2]
A relaxed structure of Sr4Y2MgRu2O12, computed with GGA-PBE.

Lattice parameters (Å, degrees): 5.8139 6.1173 8.3648 87.34 87.83 87.93
With the nearest neighbours (Å) after each atom.
Space group P1 (No. 1)
Unique sites:
Sr 0.0000 0.0000 0.0000 x1  6 O 2.55-2.72
Sr 0.0544 0.1949 0.5630 x1  4 O 2.38-2.53
Sr 0.4425 0.6376 0.5010 x1  5 O 2.48-2.68
Sr 0.5181 0.5218 0.9926 x1  6 O 2.50-2.80
Y 0.5223 0.0770 0.7617 x1  6 O 2.19-2.30
Y 0.9898 0.4992 0.2348 x1  5 O 2.13-2.39
Mg 0.8703 0.8829 0.3856 x1  4 O 1.97-2.05
Ru 0.0112 0.5915 0.7606 x1  6 O 1.97-2.18
Ru 0.4842 0.0651 0.2546 x1  6 O 1.96-2.18
O 0.0906 0.5863 0.9921 x1  1 Ru 2.01, 1 Y 2.14
O 0.1939 0.8956 0.3094 x1  1 Mg 1.97, 1 Ru 2.04
O 0.2101 0.8660 0.7237 x1  1 Ru 2.08, 1 Y 2.30
O 0.2988 0.3904 0.7230 x1  1 Ru 2.06, 1 Y 2.29
O 0.3150 0.3444 0.3104 x1  1 Ru 2.01, 1 Y 2.19
O 0.4199 0.0971 0.0256 x1  1 Ru 1.96
O 0.6061 0.0313 0.4938 x1  1 Mg 1.97, 1 Ru 2.15
O 0.6903 0.7656 0.2169 x1  1 Mg 1.97, 1 Ru 2.18
O 0.7408 0.7833 0.8073 x1  1 Ru 1.97, 1 Y 2.19
O 0.7856 0.2198 0.2150 x1  1 Ru 2.03, 1 Y 2.13
O 0.8160 0.3099 0.8006 x1  1 Ru 2.10, 1 Y 2.30
O 0.9311 0.5900 0.5081 x1  1 Mg 2.05, 1 Ru 2.18

Output
Total magnetic moment in Bohr magnetons per cell: 4.00
E (MP2020) in eV per atom: -7.45
Polymorph energy (0 for the lowest one) in meV/atom: 0
Total energy in eV/atom: -7.06

***

no.,E_form (eV/atom)
1,-3.124
2,-2.725